[1]
CaIn2P3O12: optimized geometry, PBE. Values from VASP.

The value obtained for the energy of formation from the pure elements is -2.6010 eV/atom. Its space group is P2_1/c. Its density is 3.987 Mg/m³. As for the crystal system: monoclinic. The energy comes out at -6.7610 eV/atom. The value obtained for the magnetic moment is 4.00 μB/cell.

Quantum ESPRESSO input file:
```
&SYSTEM
  ibrav = 0, nat = 72, ntyp = 4
/
ATOMIC_SPECIES
Ca 40.08 Ca.upf
In 114.82 In.upf
P 30.97 P.upf
O 16.00 O.upf
ATOMIC_POSITIONS crystal
Ca 0.2119 0.0745 0.0764
Ca 0.2119 0.4255 0.5764
Ca 0.7881 0.5745 0.4236
Ca 0.7881 0.9255 0.9236
In 0.3160 0.0968 0.7181
In 0.3160 0.4032 0.2181
In 0.3379 0.7128 0.3957
In 0.3379 0.7872 0.8957
In 0.6621 0.2128 0.1043
In 0.6621 0.2872 0.6043
In 0.6840 0.5968 0.7819
In 0.6840 0.9032 0.2819
P 0.1588 0.2440 0.1036
P 0.1588 0.2560 0.6036
P 0.1700 0.5521 0.2914
P 0.1700 0.9479 0.7914
P 0.3054 0.6156 0.8877
P 0.3054 0.8844 0.3877
P 0.6946 0.1156 0.6123
P 0.6946 0.3844 0.1123
P 0.8300 0.0521 0.2086
P 0.8300 0.4479 0.7086
P 0.8412 0.7440 0.3964
P 0.8412 0.7560 0.8964
O 0.0091 0.1075 0.7327
O 0.0091 0.3925 0.2327
O 0.0237 0.2002 0.1512
O 0.0237 0.2998 0.6512
O 0.0623 0.7153 0.0827
O 0.0623 0.7847 0.5827
O 0.0663 0.0843 0.4096
O 0.0663 0.4157 0.9096
O 0.0685 0.5219 0.3812
O 0.0685 0.9781 0.8812
O 0.3177 0.5962 0.7324
O 0.3177 0.9038 0.2324
O 0.3209 0.1967 0.0851
O 0.3209 0.3033 0.5851
O 0.3387 0.5051 0.2776
O 0.3387 0.9949 0.7776
O 0.3652 0.2043 0.7729
O 0.3652 0.2957 0.2729
O 0.3959 0.6067 0.4414
O 0.3959 0.8933 0.9414
O 0.4049 0.6860 0.9549
O 0.4049 0.8140 0.4549
O 0.4838 0.5748 0.0776
O 0.4838 0.9252 0.5776
O 0.5162 0.0748 0.4224
O 0.5162 0.4252 0.9224
O 0.5951 0.1860 0.5451
O 0.5951 0.3140 0.0451
O 0.6041 0.1067 0.0586
O 0.6041 0.3933 0.5586
O 0.6348 0.7043 0.7271
O 0.6348 0.7957 0.2271
O 0.6613 0.0051 0.2224
O 0.6613 0.4949 0.7224
O 0.6791 0.6967 0.4149
O 0.6791 0.8033 0.9149
O 0.6823 0.0962 0.7676
O 0.6823 0.4038 0.2676
O 0.9315 0.0219 0.1188
O 0.9315 0.4781 0.6188
O 0.9337 0.5843 0.0904
O 0.9337 0.9157 0.5904
O 0.9377 0.2153 0.4173
O 0.9377 0.2847 0.9173
O 0.9763 0.7002 0.3488
O 0.9763 0.7998 0.8488
O 0.9909 0.6075 0.7673
O 0.9909 0.8925 0.2673
CELL_PARAMETERS angstrom
6.6705 0.0000 0.0000
0.0000 20.6655 0.0000
-6.4843 0.0000 6.7036
```

=====

[2]
Ca33In4P28Pb3O112: optimized geometry, PBE. Values from VASP.

The value obtained for the energy of formation from the pure elements is -3.1530 eV/atom. Its space group is P1. Its density is 3.454 Mg/m³. As for the crystal system: triclinic. The energy comes out at -7.1370 eV/atom. The value obtained for the magnetic moment is 0.00 μB/cell.

Quantum ESPRESSO input file:
```
&SYSTEM
  ibrav = 0, nat = 180, ntyp = 5
/
ATOMIC_SPECIES
Ca 40.08 Ca.upf
In 114.82 In.upf
P 30.97 P.upf
Pb 207.20 Pb.upf
O 16.00 O.upf
ATOMIC_POSITIONS crystal
Ca 0.0000 0.0000 0.0000
Ca 0.0001 0.9594 0.6421
Ca 0.0249 0.5526 0.9992
Ca 0.1061 0.2462 0.5505
Ca 0.1223 0.6595 0.5507
Ca 0.1571 0.3026 0.3919
Ca 0.1732 0.7094 0.3920
Ca 0.1930 0.1740 0.0503
Ca 0.1969 0.3027 0.7505
Ca 0.2504 0.2256 0.8918
Ca 0.2497 0.8259 0.2509
Ca 0.2749 0.2483 0.2508
Ca 0.3563 0.9241 0.8017
Ca 0.3720 0.4944 0.8011
Ca 0.4239 0.5514 0.6421
Ca 0.4426 0.4086 0.3019
Ca 0.4479 0.5775 0.9994
Ca 0.5000 0.5001 0.5001
Ca 0.5251 0.0522 0.4995
Ca 0.6060 0.7473 0.0503
Ca 0.6221 0.1589 0.0502
Ca 0.6571 0.8029 0.8917
Ca 0.6733 0.2093 0.8917
Ca 0.6939 0.6737 0.5506
Ca 0.6982 0.8020 0.2509
Ca 0.7493 0.3258 0.7506
Ca 0.7501 0.7256 0.3919
Ca 0.7747 0.7494 0.7505
Ca 0.8568 0.4237 0.3019
Ca 0.8724 0.9942 0.3013
Ca 0.9238 0.0512 0.1424
Ca 0.9428 0.9088 0.8010
Ca 0.9477 0.0768 0.5003
In 0.1903 0.7424 0.9018
In 0.4401 0.9921 0.1521
In 0.6903 0.2424 0.4020
In 0.9400 0.4925 0.6520
P 0.0141 0.1102 0.8550
P 0.0456 0.5662 0.8546
P 0.0560 0.6078 0.3052
P 0.0583 0.0976 0.3551
P 0.0755 0.1330 0.7010
P 0.0820 0.1590 0.2014
P 0.1134 0.6326 0.6999
P 0.2624 0.8510 0.1036
P 0.2954 0.3575 0.1026
P 0.3053 0.8574 0.5544
P 0.3064 0.3230 0.6036
P 0.3286 0.3826 0.4497
P 0.3307 0.9158 0.9497
P 0.3638 0.3809 0.9494
P 0.5139 0.6104 0.3553
P 0.5454 0.0661 0.3548
P 0.5557 0.1078 0.8052
P 0.5584 0.5976 0.8549
P 0.5772 0.6367 0.2026
P 0.5819 0.6590 0.7014
P 0.6153 0.1279 0.2011
P 0.7642 0.3478 0.6046
P 0.7991 0.8595 0.6038
P 0.8065 0.8231 0.1035
P 0.8073 0.3567 0.0536
P 0.8287 0.8827 0.9496
P 0.8305 0.4157 0.4499
P 0.8634 0.8810 0.4497
Pb 0.4092 0.9771 0.6421
Pb 0.4960 0.4612 0.1424
Pb 0.9099 0.4777 0.1425
O 0.0004 0.0708 0.2275
O 0.0133 0.8184 0.4710
O 0.0172 0.5508 0.7115
O 0.0210 0.3053 0.2248
O 0.0239 0.7750 0.7269
O 0.0300 0.5081 0.9133
O 0.0352 0.5877 0.3669
O 0.0724 0.7491 0.2859
O 0.0726 0.0821 0.4139
O 0.0765 0.1860 0.1411
O 0.1108 0.2096 0.3245
O 0.1121 0.1838 0.8327
O 0.1140 0.1252 0.6406
O 0.1165 0.9401 0.8455
O 0.1231 0.6686 0.8453
O 0.1280 0.9658 0.0736
O 0.1313 0.9496 0.3322
O 0.1357 0.4226 0.5948
O 0.1418 0.6712 0.6398
O 0.1498 0.4316 0.0780
O 0.1582 0.4333 0.8235
O 0.1675 0.0001 0.5356
O 0.1976 0.4693 0.2857
O 0.2077 0.8305 0.1625
O 0.2154 0.0544 0.7295
O 0.2226 0.0653 0.9710
O 0.2483 0.0643 0.2126
O 0.2484 0.8202 0.9611
O 0.2489 0.5243 0.4770
O 0.2633 0.5250 0.7211
O 0.2651 0.2748 0.4703
O 0.2683 0.5470 0.9609
O 0.2744 0.3008 0.9763
O 0.2754 0.3742 0.1615
O 0.2833 0.8344 0.6164
O 0.3209 0.2642 0.6624
O 0.3208 0.4223 0.3896
O 0.3212 0.7203 0.5344
O 0.3571 0.7069 0.0780
O 0.3588 0.1948 0.5700
O 0.3670 0.9258 0.0949
O 0.3701 0.9443 0.8896
O 0.3724 0.1874 0.0946
O 0.3796 0.4212 0.5821
O 0.3798 0.6625 0.3246
O 0.3879 0.6749 0.8453
O 0.3918 0.3731 0.8892
O 0.3964 0.1635 0.3325
O 0.4076 0.4079 0.0702
O 0.4168 0.1241 0.7857
O 0.4480 0.8729 0.5357
O 0.4561 0.6249 0.4141
O 0.4681 0.5755 0.2252
O 0.4735 0.8270 0.9765
O 0.4951 0.3007 0.4611
O 0.4969 0.8023 0.2131
O 0.5004 0.5709 0.7276
O 0.5146 0.3177 0.9702
O 0.5179 0.0481 0.2120
O 0.5211 0.8055 0.7246
O 0.5259 0.2677 0.2296
O 0.5303 0.0077 0.4135
O 0.5350 0.0878 0.8669
O 0.5722 0.2491 0.7859
O 0.5729 0.5821 0.9138
O 0.5757 0.6861 0.6410
O 0.6108 0.7097 0.8244
O 0.6119 0.6838 0.3328
O 0.6152 0.6312 0.1419
O 0.6161 0.4403 0.3456
O 0.6229 0.1685 0.3455
O 0.6314 0.4602 0.5734
O 0.6315 0.4494 0.8321
O 0.6358 0.9230 0.0946
O 0.6443 0.1658 0.1407
O 0.6548 0.9341 0.5782
O 0.6580 0.9335 0.3236
O 0.6686 0.5002 0.0356
O 0.6973 0.9693 0.7858
O 0.7058 0.3325 0.6633
O 0.7183 0.5565 0.2302
O 0.7225 0.5655 0.4711
O 0.7483 0.3201 0.4613
O 0.7483 0.5645 0.7124
O 0.7490 0.0242 0.9770
O 0.7651 0.7749 0.9702
O 0.7657 0.0203 0.2218
O 0.7679 0.0471 0.4611
O 0.7739 0.8009 0.4764
O 0.7783 0.8763 0.6627
O 0.7895 0.3316 0.1157
O 0.8205 0.2205 0.0339
O 0.8210 0.7646 0.1622
O 0.8210 0.9223 0.8895
O 0.8587 0.6949 0.0700
O 0.8615 0.1994 0.5818
O 0.8674 0.4246 0.5951
O 0.8703 0.4440 0.3898
O 0.8738 0.6895 0.5952
O 0.8800 0.9210 0.0819
O 0.8812 0.1615 0.8237
O 0.8878 0.1750 0.3454
O 0.8923 0.8729 0.3895
O 0.8969 0.6638 0.8320
O 0.9143 0.9090 0.5739
O 0.9172 0.6238 0.2858
O 0.9494 0.3723 0.0343
O 0.9553 0.1253 0.9137
O 0.9672 0.0699 0.7215
O 0.9729 0.3266 0.4769
O 0.9952 0.8008 0.9610
O 0.9957 0.2989 0.7118
CELL_PARAMETERS angstrom
10.5301 0.0000 0.0000
5.2587 9.1634 0.0000
5.2396 2.9817 25.2269
```

=====

[3]
Ca2InSbO6: optimized geometry, PBE. Values from VASP.

The value obtained for the energy of formation from the pure elements is -2.4189 eV/atom. Its space group is Fm-3m. Its density is 5.060 Mg/m³. As for the crystal system: cubic. The energy comes out at -6.0647 eV/atom. The value obtained for the magnetic moment is 0.00 μB/cell.

Quantum ESPRESSO input file:
```
&SYSTEM
  ibrav = 0, nat = 10, ntyp = 4
/
ATOMIC_SPECIES
Ca 40.08 Ca.upf
In 114.82 In.upf
Sb 121.76 Sb.upf
O 16.00 O.upf
ATOMIC_POSITIONS crystal
Ca 0.2500 0.2500 0.2500
Ca 0.7500 0.7500 0.7500
In 0.0000 0.0000 0.0000
Sb 0.5000 0.5000 0.5000
O 0.2584 0.2584 0.7416
O 0.2584 0.7416 0.2584
O 0.2584 0.7416 0.7416
O 0.7416 0.2584 0.2584
O 0.7416 0.2584 0.7416
O 0.7416 0.7416 0.2584
CELL_PARAMETERS angstrom
0.0000 4.0760 4.0760
4.0760 0.0000 4.0760
4.0760 4.0760 0.0000
```

=====

[4]
CaIn2Pd: optimized geometry, PBE. Values from VASP.

The value obtained for the energy of formation from the pure elements is -0.6137 eV/atom. Its space group is Cmcm. Its density is 6.666 Mg/m³. As for the crystal system: orthorhombic. The energy comes out at -3.7859 eV/atom.

Quantum ESPRESSO input file:
```
&SYSTEM
  ibrav = 0, nat = 8, ntyp = 3
/
ATOMIC_SPECIES
Ca 40.08 Ca.upf
In 114.82 In.upf
Pd 106.42 Pd.upf
ATOMIC_POSITIONS crystal
Ca 0.0655 0.9345 0.7500
Ca 0.9345 0.0655 0.2500
In 0.3554 0.6446 0.5532
In 0.3554 0.6446 0.9468
In 0.6446 0.3554 0.0532
In 0.6446 0.3554 0.4468
Pd 0.2180 0.7820 0.2500
Pd 0.7820 0.2180 0.7500
CELL_PARAMETERS angstrom
2.2556 -5.2421 0.0000
2.2556 5.2421 0.0000
0.0000 0.0000 7.9242
```